[1]
LiLu2W2Cl2O8 after structural relaxation, computed with PBE+U.

```
LiLu2W2Cl2O8
1.0
6.003 0.000 0.000
2.118 6.296 0.000
0.832 1.763 6.738
Li Lu W Cl O
1 2 2 2 8
direct
0.000 0.000 0.000
0.143 0.536 0.992
0.614 0.151 0.312
0.258 0.715 0.401
0.517 0.983 0.886
0.860 0.359 0.873
0.902 0.376 0.337
0.226 0.617 0.665
0.304 0.817 0.969
0.349 0.480 0.285
0.416 0.210 0.030
0.471 0.863 0.357
0.546 0.103 0.617
0.832 0.822 0.953
0.975 0.904 0.305
```



[2]
Li4Ni3SbO8 after structural relaxation, computed with PBE+U.

```
Li4Ni3SbO8
1.0
5.972 0.000 0.000
0.000 5.999 0.000
-0.011 -0.004 8.433
Li Ni Sb O
8 6 2 16
direct
0.000 0.000 0.000
0.000 0.498 0.000
0.250 0.251 0.750
0.250 0.751 0.750
0.500 0.502 0.499
0.501 0.004 0.499
0.750 0.751 0.250
0.751 0.251 0.250
0.000 0.000 0.500
0.250 0.251 0.250
0.250 0.751 0.250
0.500 0.503 0.000
0.750 0.251 0.750
0.750 0.751 0.750
0.000 0.499 0.500
0.500 0.004 0.000
0.000 0.501 0.261
0.027 0.984 0.256
0.237 0.260 0.501
0.238 0.740 0.490
0.262 0.763 0.009
0.263 0.242 0.998
0.473 0.519 0.243
0.500 0.001 0.239
0.500 0.001 0.761
0.529 0.519 0.756
0.737 0.243 0.000
0.738 0.763 0.989
0.762 0.739 0.510
0.763 0.260 0.499
0.970 0.984 0.743
0.999 0.501 0.739
```



[3]
Cr2Cu5P4O18 after structural relaxation, computed with PBE+U.

```
Cr2Cu5P4O18
1.0
6.631 -3.228 0.000
6.631 3.228 0.000
-3.182 0.000 7.758
Cr Cu P O
2 5 4 18
direct
0.109 0.109 0.471
0.891 0.891 0.529
0.133 0.620 0.231
0.380 0.867 0.769
0.500 0.500 0.000
0.620 0.133 0.231
0.867 0.380 0.769
0.158 0.158 0.095
0.374 0.374 0.590
0.626 0.626 0.410
0.842 0.842 0.905
0.057 0.057 0.665
0.088 0.684 0.009
0.135 0.135 0.257
0.192 0.576 0.482
0.270 0.270 0.626
0.286 0.286 0.140
0.316 0.912 0.991
0.424 0.808 0.518
0.476 0.476 0.761
0.524 0.524 0.239
0.576 0.192 0.482
0.684 0.088 0.009
0.714 0.714 0.860
0.730 0.730 0.374
0.808 0.424 0.518
0.865 0.865 0.743
0.912 0.316 0.991
0.943 0.943 0.335
```



[4]
NaFeO3 after structural relaxation, computed with PBE+U.

```
NaFeO3
1.0
2.541 1.467 5.264
-2.541 1.467 5.264
0.000 -2.934 5.264
Na Fe O
2 2 6
direct
0.139 0.139 0.139
0.861 0.861 0.861
0.336 0.336 0.336
0.664 0.664 0.664
0.061 0.678 0.463
0.322 0.538 0.939
0.463 0.061 0.678
0.537 0.939 0.322
0.678 0.463 0.061
0.939 0.322 0.537
```



[5]
Ga2NiO4 after structural relaxation, computed with PBE+U.

```
Ga2NiO4
1.0
2.961 1.710 4.851
-2.961 1.710 4.851
0.000 -3.419 4.851
Ga Ni O
4 2 8
direct
0.000 0.000 0.000
0.382 0.382 0.871
0.382 0.871 0.382
0.871 0.382 0.382
0.381 0.381 0.381
0.756 0.756 0.756
0.133 0.133 0.606
0.133 0.606 0.133
0.134 0.134 0.134
0.161 0.625 0.625
0.606 0.133 0.133
0.619 0.619 0.619
0.625 0.161 0.625
0.625 0.625 0.161
```



[6]
Li2CrP4O12 after structural relaxation, computed with PBE+U.

```
Li2CrP4O12
1.0
9.400 0.000 0.000
0.000 10.159 0.000
-0.311 0.000 9.466
Li Cr P O
8 4 16 48
direct
0.105 0.178 0.004
0.105 0.322 0.504
0.394 0.175 0.001
0.394 0.325 0.501
0.606 0.675 0.499
0.606 0.825 0.999
0.895 0.678 0.496
0.895 0.822 0.996
0.253 0.690 0.518
0.253 0.810 0.018
0.747 0.190 0.982
0.747 0.310 0.482
0.041 0.609 0.794
0.041 0.891 0.294
0.238 0.538 0.228
0.238 0.962 0.728
0.268 0.100 0.303
0.268 0.400 0.803
0.489 0.603 0.798
0.489 0.897 0.298
0.511 0.103 0.702
0.511 0.397 0.202
0.732 0.600 0.197
0.732 0.900 0.697
0.762 0.038 0.272
0.762 0.462 0.772
0.959 0.109 0.706
0.959 0.391 0.206
0.044 0.730 0.886
0.044 0.770 0.386
0.047 0.621 0.635
0.047 0.879 0.135
0.092 0.019 0.664
0.092 0.481 0.164
0.168 0.519 0.855
0.168 0.981 0.355
0.245 0.530 0.387
0.245 0.970 0.887
0.247 0.217 0.396
0.247 0.283 0.896
0.255 0.116 0.146
0.255 0.384 0.646
0.261 0.670 0.165
0.261 0.830 0.665
0.346 0.069 0.666
0.346 0.431 0.166
0.419 0.035 0.348
0.419 0.465 0.848
0.452 0.713 0.896
0.452 0.787 0.396
0.464 0.618 0.641
0.464 0.882 0.141
0.536 0.118 0.859
0.536 0.382 0.359
0.548 0.213 0.604
0.548 0.287 0.104
0.581 0.535 0.152
0.581 0.965 0.652
0.654 0.569 0.834
0.654 0.931 0.334
0.739 0.170 0.335
0.739 0.330 0.835
0.745 0.616 0.354
0.745 0.884 0.854
0.753 0.717 0.104
0.753 0.783 0.604
0.755 0.030 0.113
0.755 0.470 0.613
0.832 0.019 0.645
0.832 0.481 0.145
0.908 0.519 0.836
0.908 0.981 0.336
0.953 0.121 0.865
0.953 0.379 0.365
0.956 0.230 0.614
0.956 0.270 0.114
```



[7]
Li2CrP2O7 after structural relaxation, computed with PBE+U.

```
Li2CrP2O7
1.0
6.492 0.000 0.000
2.599 8.852 0.000
0.009 4.338 9.893
Li Cr P O
8 4 8 28
direct
0.000 0.000 0.000
0.008 0.612 0.920
0.127 0.694 0.538
0.208 0.345 0.539
0.286 0.406 0.155
0.530 0.587 0.420
0.570 0.020 0.073
0.800 0.436 0.666
0.435 0.607 0.823
0.533 0.992 0.790
0.802 0.018 0.307
0.880 0.405 0.267
0.035 0.953 0.744
0.076 0.694 0.252
0.240 0.316 0.838
0.297 0.058 0.345
0.456 0.698 0.107
0.603 0.794 0.581
0.721 0.223 0.511
0.858 0.314 0.980
0.047 0.573 0.194
0.083 0.220 0.936
0.124 0.405 0.693
0.125 0.773 0.761
0.133 0.969 0.346
0.195 0.240 0.323
0.200 0.605 0.395
0.204 0.036 0.749
0.225 0.793 0.147
0.261 0.439 0.898
0.403 0.591 0.041
0.424 0.970 0.498
0.451 0.178 0.864
0.473 0.044 0.251
0.511 0.220 0.570
0.519 0.656 0.574
0.534 0.839 0.018
0.596 0.590 0.245
0.603 0.785 0.729
0.716 0.425 0.844
0.723 0.226 0.365
0.787 0.166 0.067
0.802 0.364 0.514
0.816 0.794 0.524
0.868 0.967 0.845
0.869 0.833 0.233
0.903 0.048 0.595
0.911 0.416 0.050
```



[8]
Li3MnBAsO7 after structural relaxation, computed with PBE+U.

```
Li3MnBAsO7
1.0
2.657 2.120 3.774
-1.659 8.013 -2.261
-11.173 -0.078 7.911
Li Mn B As O
12 4 4 4 28
direct
0.768 0.096 0.125
0.768 0.096 0.625
0.232 0.904 0.375
0.232 0.904 0.875
0.248 0.233 0.000
0.249 0.233 0.500
0.249 0.233 0.250
0.248 0.233 0.749
0.751 0.767 0.250
0.752 0.767 0.750
0.752 0.767 0.500
0.751 0.767 0.000
0.786 0.315 0.875
0.214 0.685 0.625
0.786 0.315 0.375
0.214 0.685 0.125
0.702 0.039 0.375
0.702 0.039 0.875
0.298 0.961 0.125
0.298 0.961 0.625
0.741 0.417 0.125
0.742 0.417 0.625
0.259 0.583 0.375
0.258 0.583 0.875
0.368 0.111 0.125
0.368 0.111 0.625
0.632 0.889 0.375
0.632 0.889 0.875
0.959 0.086 0.375
0.958 0.086 0.875
0.041 0.914 0.125
0.042 0.914 0.625
0.511 0.172 0.375
0.511 0.172 0.875
0.489 0.828 0.125
0.489 0.828 0.625
0.403 0.465 0.125
0.404 0.465 0.625
0.597 0.535 0.375
0.596 0.535 0.875
0.132 0.402 0.375
0.132 0.402 0.875
0.868 0.598 0.125
0.868 0.598 0.625
0.837 0.293 0.030
0.838 0.293 0.530
0.838 0.293 0.220
0.838 0.293 0.720
0.162 0.707 0.280
0.162 0.707 0.780
0.163 0.707 0.470
0.162 0.707 0.970
```



| no. | energy of formation (eV per formula unit) |
| --- | --- |
| 1 | -38.60 |
| 2 | -28.59 |
| 3 | -59.09 |
| 4 | -6.93 |
| 5 | -13.71 |
| 6 | -49.67 |
| 7 | -31.21 |
| 8 | -29.12 |